DFT (PBE) results for a geometry-optimized Pu2Co17 structure.

Unit cell a=8.2895 b=8.2895 c=8.0813 alpha=90.00 beta=90.00 gamma=120.00
Closest atoms and distances in Å follow each position.
Positions (direct):
Co: 0.3296 0.9556 0.2500  8 Co 2.36-2.52
Co: 0.1677 0.8323 0.5230  9 Co 2.39-2.59
Co: 0.3333 0.6667 0.1047  7 Co 2.35-2.59
Co: 0.6647 0.8323 0.9770  9 Co 2.39-2.59
Co: 0.8323 0.1677 0.0230  9 Co 2.39-2.59
Co: 0.3740 0.3296 0.7500  8 Co 2.36-2.52
Co: 0.0444 0.3740 0.2500  8 Co 2.36-2.52
Co: 0.6704 0.6260 0.7500  8 Co 2.36-2.52
Co: 0.8323 0.6647 0.0230  9 Co 2.39-2.59
Co: 0.0444 0.6704 0.2500  8 Co 2.36-2.52
Pu: 0.0000 0.0000 0.7500  18 Co 2.93-3.27
Co: 0.8323 0.6647 0.4770  9 Co 2.39-2.59
Co: 0.8323 0.1677 0.4770  9 Co 2.39-2.59
Co: 0.5000 0.5000 0.0000  10 Co 2.39-2.54
Co: 0.1677 0.3353 0.9770  9 Co 2.39-2.59
Co: 0.5000 0.0000 0.5000  10 Co 2.39-2.54
Co: 0.6260 0.6704 0.2500  8 Co 2.36-2.52
Co: 0.3333 0.6667 0.3953  7 Co 2.35-2.59
Co: 0.5000 0.0000 0.0000  10 Co 2.39-2.54
Co: 0.9556 0.6260 0.7500  8 Co 2.36-2.52
Co: 0.3296 0.3740 0.2500  8 Co 2.36-2.52
Co: 0.0000 0.5000 0.5000  10 Co 2.39-2.54
Co: 0.6704 0.0444 0.7500  8 Co 2.36-2.52
Co: 0.6667 0.3333 0.8953  7 Co 2.35-2.59
Co: 0.3740 0.0444 0.7500  8 Co 2.36-2.52
Pu: 0.3333 0.6667 0.7500  20 Co 2.87-3.13
Co: 0.5000 0.5000 0.5000  10 Co 2.39-2.54
Co: 0.0000 0.5000 0.0000  10 Co 2.39-2.54
Co: 0.9556 0.3296 0.7500  8 Co 2.36-2.52
Pu: 0.6667 0.3333 0.2500  20 Co 2.87-3.13
Co: 0.1677 0.8323 0.9770  9 Co 2.39-2.59
Co: 0.6647 0.8323 0.5230  9 Co 2.39-2.59
Pu: 0.0000 0.0000 0.2500  18 Co 2.93-3.27
Co: 0.3353 0.1677 0.0230  9 Co 2.39-2.59
Co: 0.3353 0.1677 0.4770  9 Co 2.39-2.59
Co: 0.6260 0.9556 0.2500  8 Co 2.36-2.52
Co: 0.1677 0.3353 0.5230  9 Co 2.39-2.59
Co: 0.6667 0.3333 0.6047  7 Co 2.35-2.59

space-group type: P6_3/mmc (194)
energy of formation from the pure elements: 0.2734 eV per atom